GGA-PBE K2LiBP2O8, optimized geometry; density = 2.53 g/cm³; SG = P2_1/c, No. 14; energy of formation from the pure elements = -38.40 eV/f.u.
1.0
8.465 0.000 0.000
0.000 8.904 0.000
-7.578 0.000 9.959
K Li B P O
8 4 4 8 32
direct
0.063 0.223 0.087
0.063 0.277 0.587
0.278 0.725 0.322
0.278 0.775 0.822
0.722 0.225 0.178
0.722 0.275 0.678
0.937 0.723 0.413
0.937 0.777 0.913
0.192 0.084 0.880
0.192 0.416 0.380
0.808 0.584 0.620
0.808 0.916 0.120
0.467 0.586 0.126
0.467 0.914 0.626
0.533 0.086 0.374
0.533 0.414 0.874
0.209 0.077 0.392
0.209 0.423 0.892
0.469 0.605 0.670
0.469 0.895 0.170
0.531 0.105 0.830
0.531 0.395 0.330
0.791 0.577 0.108
0.791 0.923 0.608
0.066 0.006 0.255
0.066 0.494 0.755
0.129 0.218 0.414
0.129 0.282 0.914
0.265 0.548 0.002
0.265 0.952 0.502
0.295 0.556 0.530
0.295 0.944 0.030
0.326 0.071 0.791
0.326 0.429 0.291
0.409 0.126 0.417
0.409 0.374 0.917
0.443 0.538 0.777
0.443 0.962 0.277
0.448 0.720 0.189
0.448 0.780 0.689
0.552 0.220 0.311
0.552 0.280 0.811
0.557 0.038 0.723
0.557 0.462 0.223
0.591 0.626 0.083
0.591 0.874 0.583
0.674 0.571 0.709
0.674 0.929 0.209
0.705 0.056 0.970
0.705 0.444 0.470
0.735 0.048 0.498
0.735 0.452 0.998
0.871 0.718 0.086
0.871 0.782 0.586
0.934 0.506 0.245
0.934 0.994 0.745